#A
# PBE with a Hubbard U Cr3FeO6, optimized geometry
# Crystal system ... triclinic
# Mass density ... 4.09 Mg/m³
data_Cr3FeO6
_symmetry_space_group_name_H-M 'P 1'
_symmetry_Int_Tables_number 1
_cell_length_a 8.9985
_cell_length_b 10.4201
_cell_length_c 10.7259
_cell_angle_alpha 89.69
_cell_angle_beta 84.60
_cell_angle_gamma 85.91
loop_
_symmetry_equiv_pos_as_xyz
'x,y,z'
loop_
_atom_site_label
_atom_site_type_symbol
_atom_site_fract_x
_atom_site_fract_y
_atom_site_fract_z
_atom_site_occupancy
Cr1 Cr 0.0000 0.0000 0.0000 1
Cr2 Cr 0.0042 0.7800 0.5121 1
Cr3 Cr 0.0472 0.3511 0.0292 1
Cr4 Cr 0.0595 0.7858 0.1788 1
Cr5 Cr 0.0806 0.2592 0.7749 1
Cr6 Cr 0.1084 0.2096 0.5075 1
Cr7 Cr 0.1137 0.9324 0.7053 1
Cr8 Cr 0.1615 0.6567 0.9138 1
Cr9 Cr 0.2752 0.6311 0.6542 1
Cr10 Cr 0.3025 0.9602 0.4295 1
Cr11 Cr 0.3040 0.4670 0.1336 1
Cr12 Cr 0.3579 0.9411 0.1524 1
Cr13 Cr 0.3951 0.2084 0.9355 1
Cr14 Cr 0.4078 0.6646 0.2872 1
Cr15 Cr 0.5014 0.8442 0.7365 1
Cr16 Cr 0.5774 0.5668 0.7249 1
Cr17 Cr 0.6318 0.2633 0.0766 1
Cr18 Cr 0.6614 0.0772 0.5046 1
Cr19 Cr 0.6995 0.5312 0.2098 1
Cr20 Cr 0.7629 0.5013 0.9342 1
Cr21 Cr 0.7857 0.0809 0.7579 1
Cr22 Cr 0.8345 0.1063 0.2604 1
Cr23 Cr 0.8430 0.8026 0.8361 1
Cr24 Cr 0.9362 0.5075 0.6823 1
Fe1 Fe 0.0330 0.5385 0.3246 1
Fe2 Fe 0.1395 0.2024 0.2456 1
Fe3 Fe 0.4049 0.1113 0.6745 1
Fe4 Fe 0.4495 0.2180 0.3483 1
Fe5 Fe 0.6195 0.9880 0.0040 1
Fe6 Fe 0.7185 0.6229 0.4760 1
Fe7 Fe 0.7245 0.8395 0.2529 1
Fe8 Fe 0.8028 0.3323 0.4798 1
O1 O 0.0115 0.6910 0.0538 1
O2 O 0.0120 0.0894 0.7981 1
O3 O 0.0631 0.8320 0.8626 1
O4 O 0.1156 0.3881 0.1909 1
O5 O 0.1223 0.5746 0.7539 1
O6 O 0.1259 0.0271 0.5317 1
O7 O 0.1662 0.9135 0.0989 1
O8 O 0.1848 0.2338 0.9300 1
O9 O 0.2051 0.7871 0.5762 1
O10 O 0.2058 0.4855 0.9819 1
O11 O 0.2105 0.6250 0.2246 1
O12 O 0.2332 0.2154 0.6459 1
O13 O 0.2415 0.2878 0.4040 1
O14 O 0.3135 0.0764 0.2756 1
O15 O 0.3183 0.8385 0.3080 1
O16 O 0.3270 0.9538 0.7348 1
O17 O 0.3652 0.6881 0.7960 1
O18 O 0.4067 0.0385 0.9935 1
O19 O 0.4213 0.2964 0.0855 1
O20 O 0.4228 0.5173 0.6172 1
O21 O 0.4510 0.2410 0.7789 1
O22 O 0.4526 0.0769 0.4924 1
O23 O 0.4885 0.5012 0.2056 1
O24 O 0.5619 0.8753 0.1371 1
O25 O 0.5827 0.7295 0.6174 1
O26 O 0.5995 0.4583 0.8719 1
O27 O 0.6047 0.9981 0.6769 1
O28 O 0.6144 0.8306 0.8656 1
O29 O 0.6265 0.6842 0.3224 1
O30 O 0.6310 0.1783 0.9302 1
O31 O 0.6600 0.1101 0.1556 1
O32 O 0.6680 0.2177 0.3733 1
O33 O 0.7262 0.6219 0.0519 1
O34 O 0.7406 0.4844 0.6097 1
O35 O 0.7629 0.1740 0.5985 1
O36 O 0.7642 0.9753 0.3892 1
O37 O 0.7672 0.3841 0.0867 1
O38 O 0.8037 0.6237 0.7930 1
O39 O 0.8161 0.9724 0.9174 1
O40 O 0.8228 0.4831 0.3464 1
O41 O 0.8991 0.9279 0.1595 1
O42 O 0.9164 0.8663 0.6673 1
O43 O 0.9393 0.3977 0.8662 1
O44 O 0.9660 0.1926 0.3785 1
O45 O 0.9677 0.7545 0.3377 1
O46 O 0.9761 0.1670 0.1082 1
O47 O 0.9920 0.3255 0.6147 1
O48 O 0.9951 0.5984 0.5254 1


#B
# PBE with a Hubbard U Cr3FeO6, optimized geometry
# Crystal system ... triclinic
# Mass density ... 4.12 Mg/m³
data_Cr3FeO6
_symmetry_space_group_name_H-M 'P 1'
_symmetry_Int_Tables_number 1
_cell_length_a 9.2439
_cell_length_b 10.0605
_cell_length_c 10.8021
_cell_angle_alpha 98.85
_cell_angle_beta 90.97
_cell_angle_gamma 91.45
loop_
_symmetry_equiv_pos_as_xyz
'x,y,z'
loop_
_atom_site_label
_atom_site_type_symbol
_atom_site_fract_x
_atom_site_fract_y
_atom_site_fract_z
_atom_site_occupancy
Cr1 Cr 0.0000 0.0000 0.0000 1
Cr2 Cr 0.0084 0.9056 0.2417 1
Cr3 Cr 0.0497 0.1896 0.4975 1
Cr4 Cr 0.1205 0.4984 0.7025 1
Cr5 Cr 0.1531 0.0937 0.7706 1
Cr6 Cr 0.1708 0.7836 0.5080 1
Cr7 Cr 0.2705 0.5789 0.0377 1
Cr8 Cr 0.3366 0.2896 0.0238 1
Cr9 Cr 0.3966 0.8353 0.2920 1
Cr10 Cr 0.4103 0.5677 0.8269 1
Cr11 Cr 0.4266 0.0865 0.5337 1
Cr12 Cr 0.4756 0.0104 0.8329 1
Cr13 Cr 0.4965 0.7979 0.5514 1
Cr14 Cr 0.5535 0.2801 0.2480 1
Cr15 Cr 0.6407 0.4867 0.9832 1
Cr16 Cr 0.6566 0.2996 0.7530 1
Cr17 Cr 0.6850 0.2711 0.4847 1
Cr18 Cr 0.6939 0.9887 0.3616 1
Cr19 Cr 0.7243 0.2037 0.0037 1
Cr20 Cr 0.7310 0.5693 0.6767 1
Cr21 Cr 0.8768 0.2164 0.2515 1
Cr22 Cr 0.9322 0.7736 0.6395 1
Cr23 Cr 0.9702 0.6532 0.9420 1
Cr24 Cr 0.9893 0.3693 0.9679 1
Fe1 Fe 0.0004 0.4836 0.4177 1
Fe2 Fe 0.2096 0.1339 0.2892 1
Fe3 Fe 0.2170 0.8066 0.7721 1
Fe4 Fe 0.3334 0.5531 0.3027 1
Fe5 Fe 0.3770 0.3754 0.5266 1
Fe6 Fe 0.4599 0.0223 0.1118 1
Fe7 Fe 0.6506 0.7833 0.0462 1
Fe8 Fe 0.6525 0.5574 0.4142 1
O1 O 0.0157 0.0729 0.1724 1
O2 O 0.0445 0.1771 0.6747 1
O3 O 0.0508 0.3926 0.5661 1
O4 O 0.0582 0.2808 0.3383 1
O5 O 0.0628 0.5449 0.0522 1
O6 O 0.0873 0.9145 0.6487 1
O7 O 0.0897 0.0126 0.3910 1
O8 O 0.1006 0.6691 0.6422 1
O9 O 0.1317 0.9607 0.8790 1
O10 O 0.1363 0.2304 0.9395 1
O11 O 0.1650 0.6062 0.3930 1
O12 O 0.2209 0.6632 0.8761 1
O13 O 0.2709 0.1971 0.4732 1
O14 O 0.2920 0.9608 0.2082 1
O15 O 0.2948 0.4454 0.1474 1
O16 O 0.2960 0.7017 0.2019 1
O17 O 0.3170 0.5023 0.6668 1
O18 O 0.3190 0.4275 0.9040 1
O19 O 0.3431 0.0923 0.7095 1
O20 O 0.3435 0.8955 0.4629 1
O21 O 0.3642 0.2011 0.1849 1
O22 O 0.3782 0.0994 0.9612 1
O23 O 0.4288 0.8474 0.7266 1
O24 O 0.4654 0.4286 0.3702 1
O25 O 0.4874 0.6248 0.0034 1
O26 O 0.4962 0.6944 0.3776 1
O27 O 0.5318 0.2550 0.6043 1
O28 O 0.5485 0.1430 0.3812 1
O29 O 0.5491 0.9187 0.9680 1
O30 O 0.5613 0.8892 0.2198 1
O31 O 0.5626 0.3394 0.0724 1
O32 O 0.5748 0.6365 0.6085 1
O33 O 0.6046 0.4914 0.8024 1
O34 O 0.6080 0.9570 0.5249 1
O35 O 0.6153 0.1411 0.8285 1
O36 O 0.6722 0.1314 0.1629 1
O37 O 0.7453 0.3655 0.3428 1
O38 O 0.7678 0.3899 0.6321 1
O39 O 0.7782 0.3441 0.9033 1
O40 O 0.7811 0.6296 0.0138 1
O41 O 0.8342 0.8613 0.3040 1
O42 O 0.8350 0.1471 0.4269 1
O43 O 0.8355 0.6189 0.5248 1
O44 O 0.8413 0.0485 0.9389 1
O45 O 0.8420 0.7035 0.7739 1
O46 O 0.8850 0.3012 0.1045 1
O47 O 0.9787 0.8335 0.0531 1
O48 O 0.9941 0.4817 0.8247 1


Least stable: #A


#A
# PBE with a Hubbard U V4O3F9, optimized geometry
# Crystal system ... triclinic
# Mass density ... 3.31 Mg/m³
data_V4O3F9
_symmetry_space_group_name_H-M 'P 1'
_symmetry_Int_Tables_number 1
_cell_length_a 5.2673
_cell_length_b 5.3715
_cell_length_c 17.3546
_cell_angle_alpha 87.66
_cell_angle_beta 81.30
_cell_angle_gamma 61.08
loop_
_symmetry_equiv_pos_as_xyz
'x,y,z'
loop_
_atom_site_label
_atom_site_type_symbol
_atom_site_fract_x
_atom_site_fract_y
_atom_site_fract_z
_atom_site_occupancy
V1 V 0.0000 0.0000 0.0000 1
V2 V 0.0012 0.4886 0.5005 1
V3 V 0.2517 0.8881 0.6217 1
V4 V 0.2526 0.4009 0.1223 1
V5 V 0.4824 0.2700 0.7451 1
V6 V 0.4840 0.7276 0.2478 1
V7 V 0.7477 0.0889 0.3791 1
V8 V 0.7485 0.6024 0.8786 1
O1 O 0.2082 0.1686 0.5662 1
O2 O 0.2132 0.6712 0.0645 1
O3 O 0.3040 0.5437 0.6882 1
O4 O 0.3420 0.5444 0.2109 1
O5 O 0.7877 0.3290 0.9353 1
O6 O 0.7902 0.8136 0.4355 1
F1 F 0.1730 0.9152 0.3367 1
F2 F 0.1761 0.4201 0.8373 1
F3 F 0.1784 0.2007 0.0408 1
F4 F 0.1826 0.6944 0.5394 1
F5 F 0.2856 0.0684 0.1880 1
F6 F 0.3213 0.8382 0.9121 1
F7 F 0.3218 0.0297 0.7150 1
F8 F 0.3302 0.3264 0.4101 1
F9 F 0.6681 0.9501 0.2879 1
F10 F 0.6711 0.6587 0.5899 1
F11 F 0.6776 0.1558 0.0878 1
F12 F 0.6863 0.4489 0.7863 1
F13 F 0.7031 0.9364 0.8129 1
F14 F 0.7172 0.4266 0.3154 1
F15 F 0.8189 0.2862 0.4609 1
F16 F 0.8186 0.7989 0.9603 1
F17 F 0.8297 0.0588 0.6656 1
F18 F 0.8305 0.5820 0.1657 1


#B
# PBE with a Hubbard U V4O3F9, optimized geometry
# Crystal system ... monoclinic
# Mass density ... 3.36 Mg/m³
data_V4O3F9
_symmetry_space_group_name_H-M 'P 1 2 1'
_symmetry_Int_Tables_number 3
_cell_length_a 5.4927
_cell_length_b 5.2878
_cell_length_c 7.2050
_cell_angle_alpha 90.00
_cell_angle_beta 92.79
_cell_angle_gamma 90.00
loop_
_symmetry_equiv_pos_as_xyz
'x,y,z'
'-x,y,-z'
loop_
_atom_site_label
_atom_site_type_symbol
_atom_site_fract_x
_atom_site_fract_y
_atom_site_fract_z
_atom_site_occupancy
V1 V 0.0002 0.0000 0.2400 1
V2 V 0.4999 0.4961 0.2505 1
O1 O 0.0000 0.0826 0.0000 1
O2 O 0.5000 0.4232 0.0000 1
O3 O 0.5000 0.5669 0.5000 1
F1 F 0.0000 0.8956 0.5000 1
F2 F 0.1965 0.6932 0.2037 1
F3 F 0.1970 0.2963 0.6980 1
F4 F 0.3040 0.1932 0.3003 1
F5 F 0.3050 0.7981 0.7950 1


#C
# PBE with a Hubbard U V4O3F9, optimized geometry
# Crystal system ... triclinic
# Mass density ... 3.30 Mg/m³
data_V4O3F9
_symmetry_space_group_name_H-M 'P 1'
_symmetry_Int_Tables_number 1
_cell_length_a 5.2560
_cell_length_b 5.3960
_cell_length_c 17.3509
_cell_angle_alpha 83.31
_cell_angle_beta 81.84
_cell_angle_gamma 61.01
loop_
_symmetry_equiv_pos_as_xyz
'x,y,z'
loop_
_atom_site_label
_atom_site_type_symbol
_atom_site_fract_x
_atom_site_fract_y
_atom_site_fract_z
_atom_site_occupancy
V1 V 0.0000 0.0000 0.0000 1
V2 V 0.0982 0.1769 0.6208 1
V3 V 0.2632 0.2819 0.2535 1
V4 V 0.3665 0.4067 0.8785 1
V5 V 0.4896 0.5647 0.5093 1
V6 V 0.6140 0.6310 0.1312 1
V7 V 0.7303 0.8132 0.7570 1
V8 V 0.8535 0.9290 0.3734 1
O1 O 0.0928 0.7325 0.9433 1
O2 O 0.3848 0.8458 0.5626 1
O3 O 0.4363 0.4469 0.1698 1
O4 O 0.6357 0.0704 0.3012 1
O5 O 0.6368 0.0819 0.8138 1
O6 O 0.8714 0.3322 0.5497 1
F1 F 0.0868 0.1256 0.3407 1
F2 F 0.1159 0.7419 0.4607 1
F3 F 0.1279 0.5746 0.7911 1
F4 F 0.1451 0.2055 0.9191 1
F5 F 0.1638 0.6003 0.3169 1
F6 F 0.3333 0.3708 0.5911 1
F7 F 0.3405 0.9728 0.1895 1
F8 F 0.3560 0.9904 0.7099 1
F9 F 0.3855 0.8232 0.0418 1
F10 F 0.5856 0.6099 0.8385 1
F11 F 0.5961 0.2260 0.4467 1
F12 F 0.6047 0.2442 0.9674 1
F13 F 0.6704 0.6900 0.4177 1
F14 F 0.8306 0.8589 0.0913 1
F15 F 0.8459 0.4744 0.6946 1
F16 F 0.8671 0.5060 0.2147 1
F17 F 0.9061 0.9479 0.6664 1
F18 F 0.9080 0.3338 0.0649 1


Least stable: #B


#A
# PBE with a Hubbard U V3O5F, optimized geometry
# Crystal system ... orthorhombic
# Mass density ... 4.34 Mg/m³
data_V3O5F
_symmetry_space_group_name_H-M 'C m m m'
_symmetry_Int_Tables_number 65
_symmetry_space_group_name_Hall '-C 2 2'
_cell_length_a 6.4235
_cell_length_b 20.0489
_cell_length_c 2.9917
_cell_angle_alpha 90.00
_cell_angle_beta 90.00
_cell_angle_gamma 90.00
loop_
_atom_site_label
_atom_site_type_symbol
_atom_site_fract_x
_atom_site_fract_y
_atom_site_fract_z
_atom_site_occupancy
V1 V 0.0000 0.0000 0.0000 1
V2 V 0.0000 0.1610 0.5000 1
V3 V 0.0000 0.3221 0.0000 1
V4 V 0.0000 0.5000 0.5000 1
O1 O 0.0000 0.0646 0.5000 1
O2 O 0.0000 0.2632 0.5000 1
O3 O 0.1967 0.5000 0.0000 1
O4 O 0.2094 0.1655 0.0000 1
F1 F 0.0000 0.3961 0.5000 1


#B
# PBE with a Hubbard U V3O5F, optimized geometry
# Crystal system ... monoclinic
# Mass density ... 4.34 Mg/m³
data_V3O5F
_symmetry_space_group_name_H-M 'C 1 2/m 1'
_symmetry_Int_Tables_number 12
_cell_length_a 8.9842
_cell_length_b 6.3859
_cell_length_c 7.2646
_cell_angle_alpha 90.00
_cell_angle_beta 112.23
_cell_angle_gamma 90.00
loop_
_symmetry_equiv_pos_as_xyz
'x,y,z'
'-x,-y,-z'
'-x,y,-z'
'x,-y,z'
'x+1/2,y+1/2,z'
'-x+1/2,-y+1/2,-z'
'-x+1/2,y+1/2,-z'
'x+1/2,-y+1/2,z'
loop_
_atom_site_label
_atom_site_type_symbol
_atom_site_fract_x
_atom_site_fract_y
_atom_site_fract_z
_atom_site_occupancy
V1 V 0.0000 0.0000 0.0000 1
V2 V 0.0000 0.0000 0.5000 1
V3 V 0.1498 0.5000 0.1677 1
V4 V 0.1692 0.5000 0.6560 1
O1 O 0.0000 0.3068 0.5000 1
O2 O 0.0700 0.5000 0.8718 1
O3 O 0.1658 0.2032 0.1706 1
O4 O 0.2346 0.0000 0.5322 1
F1 F 0.1094 0.0000 0.8023 1


Least stable: #A


#A
# PBE with a Hubbard U MgV3CoSn2P6O24, optimized geometry
# Crystal system ... triclinic
# Mass density ... 3.36 Mg/m³
data_MgV3CoSn2P6O24
_symmetry_space_group_name_H-M 'P 1'
_symmetry_Int_Tables_number 1
_cell_length_a 8.3715
_cell_length_b 8.3817
_cell_length_c 9.7264
_cell_angle_alpha 90.26
_cell_angle_beta 114.99
_cell_angle_gamma 119.93
loop_
_symmetry_equiv_pos_as_xyz
'x,y,z'
loop_
_atom_site_label
_atom_site_type_symbol
_atom_site_fract_x
_atom_site_fract_y
_atom_site_fract_z
_atom_site_occupancy
Mg1 Mg 0.0000 0.0000 0.0000 1
V1 V 0.4216 0.6984 0.1183 1
V2 V 0.4459 0.2103 0.6676 1
V3 V 0.7967 0.8867 0.6875 1
Co1 Co 0.7943 0.3795 0.1785 1
Sn1 Sn 0.0488 0.5163 0.5630 1
Sn2 Sn 0.2161 0.0983 0.3110 1
P1 P 0.3331 0.0119 0.9269 1
P2 P 0.3370 0.7951 0.4133 1
P3 P 0.6168 0.5185 0.4147 1
P4 P 0.6223 0.5880 0.9241 1
P5 P 0.8959 0.0784 0.4151 1
P6 P 0.9159 0.3075 0.9206 1
O1 O 0.0966 0.9383 0.8695 1
O2 O 0.1083 0.6374 0.3742 1
O3 O 0.1190 0.1004 0.4746 1
O4 O 0.1297 0.4992 0.9769 1
O5 O 0.3555 0.0218 0.7745 1
O6 O 0.3596 0.7961 0.2645 1
O7 O 0.3761 0.9975 0.4688 1
O8 O 0.3789 0.8639 0.9925 1
O9 O 0.4524 0.4120 0.7800 1
O10 O 0.4617 0.5320 0.2671 1
O11 O 0.4739 0.2015 0.0545 1
O12 O 0.4755 0.3559 0.4746 1
O13 O 0.4891 0.7730 0.5560 1
O14 O 0.5033 0.6213 0.9988 1
O15 O 0.7211 0.7681 0.8643 1
O16 O 0.7370 0.9110 0.2666 1
O17 O 0.7402 0.4522 0.3766 1
O18 O 0.7455 0.3175 0.7794 1
O19 O 0.7798 0.6934 0.5596 1
O20 O 0.7997 0.5804 0.0534 1
O21 O 0.8578 0.0634 0.5558 1
O22 O 0.8731 0.2600 0.0584 1
O23 O 0.9248 0.1409 0.8563 1
O24 O 0.9272 0.2693 0.3779 1


#B
# PBE with a Hubbard U MgV3CoSn2P6O24, optimized geometry
# Crystal system ... triclinic
# Mass density ... 3.50 Mg/m³
data_MgV3CoSn2P6O24
_symmetry_space_group_name_H-M 'P 1'
_symmetry_Int_Tables_number 1
_cell_length_a 8.5171
_cell_length_b 8.5878
_cell_length_c 9.1930
_cell_angle_alpha 90.62
_cell_angle_beta 117.43
_cell_angle_gamma 119.38
loop_
_symmetry_equiv_pos_as_xyz
'x,y,z'
loop_
_atom_site_label
_atom_site_type_symbol
_atom_site_fract_x
_atom_site_fract_y
_atom_site_fract_z
_atom_site_occupancy
Mg1 Mg 0.0000 0.0000 0.0000 1
V1 V 0.2786 0.7445 0.3934 1
V2 V 0.8784 0.0669 0.2852 1
V3 V 0.8970 0.5677 0.7981 1
Co1 Co 0.2965 0.2818 0.8918 1
Sn1 Sn 0.4669 0.9228 0.8149 1
Sn2 Sn 0.6049 0.4269 0.3918 1
P1 P 0.0769 0.4489 0.5844 1
P2 P 0.0861 0.3744 0.0928 1
P3 P 0.3641 0.9378 0.0943 1
P4 P 0.3654 0.1570 0.5819 1
P5 P 0.7865 0.8723 0.5925 1
P6 P 0.8095 0.6698 0.0946 1
O1 O 0.0070 0.7002 0.2632 1
O2 O 0.1778 0.1375 0.4204 1
O3 O 0.1977 0.5075 0.2728 1
O4 O 0.2044 0.6494 0.5656 1
O5 O 0.2123 0.7830 0.9125 1
O6 O 0.2341 0.4338 0.7402 1
O7 O 0.2510 0.3734 0.0669 1
O8 O 0.3019 0.0811 0.0831 1
O9 O 0.3505 0.1384 0.7444 1
O10 O 0.3557 0.8551 0.2378 1
O11 O 0.3961 0.9992 0.5453 1
O12 O 0.5600 0.8074 0.5513 1
O13 O 0.5664 0.3518 0.6213 1
O14 O 0.5878 0.0283 0.1231 1
O15 O 0.6189 0.4771 0.0472 1
O16 O 0.7907 0.8367 0.1235 1
O17 O 0.7993 0.6950 0.6133 1
O18 O 0.8118 0.9233 0.4446 1
O19 O 0.8711 0.7108 0.9545 1
O20 O 0.9048 0.4494 0.6088 1
O21 O 0.9404 0.4143 0.9452 1
O22 O 0.9412 0.1692 0.0924 1
O23 O 0.9501 0.3000 0.4133 1
O24 O 0.9530 0.0270 0.7687 1


Least stable: #A